(i)
Compound: LiNiP4O12
Source: Materials Project
Functional: GGA+U
Structure: optimized geometry

The structure in POSCAR format:
```
LiNiP4O12
1.0
4.772 -5.753 0.000
4.772 5.753 0.000
0.000 0.000 18.245
Li Ni P O
4 4 16 48
direct
0.205 0.111 0.644
0.889 0.795 0.856
0.795 0.889 0.144
0.111 0.205 0.356
0.572 0.968 0.889
0.032 0.428 0.611
0.428 0.032 0.389
0.968 0.572 0.111
0.043 0.763 0.351
0.237 0.957 0.149
0.293 0.777 0.008
0.223 0.707 0.492
0.374 0.626 0.750
0.249 0.342 0.189
0.658 0.751 0.311
0.354 0.354 0.500
0.646 0.646 0.000
0.342 0.249 0.811
0.751 0.658 0.689
0.626 0.374 0.250
0.777 0.293 0.992
0.707 0.223 0.508
0.763 0.043 0.649
0.957 0.237 0.851
0.047 0.842 0.149
0.158 0.953 0.351
0.349 0.942 0.216
0.058 0.651 0.284
0.329 0.896 0.484
0.104 0.671 0.016
0.086 0.654 0.422
0.346 0.914 0.078
0.114 0.667 0.561
0.333 0.886 0.939
0.417 0.800 0.793
0.200 0.583 0.707
0.505 0.805 0.353
0.195 0.495 0.147
0.359 0.564 0.481
0.436 0.641 0.019
0.786 0.836 0.635
0.164 0.214 0.865
0.532 0.613 0.691
0.387 0.468 0.809
0.697 0.755 0.931
0.245 0.303 0.569
0.169 0.293 0.263
0.707 0.831 0.237
0.293 0.169 0.737
0.831 0.707 0.763
0.303 0.245 0.431
0.755 0.697 0.069
0.613 0.532 0.309
0.468 0.387 0.191
0.214 0.164 0.135
0.836 0.786 0.365
0.641 0.436 0.981
0.564 0.359 0.519
0.805 0.505 0.647
0.495 0.195 0.853
0.800 0.417 0.207
0.583 0.200 0.293
0.667 0.114 0.439
0.886 0.333 0.061
0.654 0.086 0.578
0.914 0.346 0.922
0.896 0.329 0.516
0.671 0.104 0.984
0.651 0.058 0.716
0.942 0.349 0.784
0.953 0.158 0.649
0.842 0.047 0.851
```

Computed properties:
As for the symmetry: C222_1.


(ii)
Compound: LiNiP4O12
Source: Materials Project
Functional: GGA+U
Structure: optimized geometry

The structure in POSCAR format:
```
LiNiP4O12
1.0
-2.325 -3.691 -7.163
8.036 1.960 -3.618
4.551 -10.960 4.171
Li Ni P O
4 4 16 48
direct
0.010 0.750 0.000
0.990 0.250 0.000
0.490 0.250 0.500
0.510 0.750 0.500
0.371 0.750 0.000
0.629 0.250 0.000
0.129 0.250 0.500
0.871 0.750 0.500
0.816 0.502 0.862
0.184 0.002 0.862
0.540 0.994 0.854
0.460 0.494 0.854
0.184 0.498 0.138
0.816 0.998 0.138
0.460 0.006 0.146
0.540 0.506 0.146
0.040 0.506 0.354
0.960 0.006 0.354
0.960 0.494 0.646
0.684 0.498 0.362
0.316 0.502 0.638
0.684 0.002 0.638
0.040 0.994 0.646
0.316 0.998 0.362
0.862 0.867 0.377
0.903 0.638 0.892
0.543 0.873 0.937
0.457 0.373 0.937
0.190 0.627 0.061
0.810 0.127 0.061
0.457 0.127 0.063
0.543 0.627 0.063
0.097 0.362 0.108
0.903 0.862 0.108
0.362 0.867 0.123
0.638 0.367 0.123
0.363 0.459 0.177
0.637 0.959 0.177
0.112 0.571 0.247
0.888 0.071 0.247
0.388 0.071 0.253
0.612 0.571 0.253
0.137 0.959 0.323
0.863 0.459 0.323
0.138 0.367 0.377
0.810 0.373 0.939
0.403 0.862 0.392
0.597 0.362 0.392
0.043 0.627 0.437
0.957 0.127 0.437
0.310 0.127 0.439
0.690 0.627 0.439
0.310 0.373 0.561
0.690 0.873 0.561
0.043 0.873 0.563
0.957 0.373 0.563
0.403 0.638 0.608
0.597 0.138 0.608
0.138 0.133 0.623
0.862 0.633 0.623
0.137 0.541 0.677
0.863 0.041 0.677
0.388 0.429 0.747
0.612 0.929 0.747
0.112 0.929 0.753
0.888 0.429 0.753
0.363 0.041 0.823
0.637 0.541 0.823
0.362 0.633 0.877
0.638 0.133 0.877
0.097 0.138 0.892
0.190 0.873 0.939
```

Computed properties:
As for the symmetry: Pbcn.


Short version: (ii) is the most stable of them.